[1]
A plane-wave DFT calculation with r²SCAN was carried out for a geometry-optimized CaSe structure.

Output
The calculation puts the total magnetization at 0.0 μB per formula unit.

Lattice parameters (Å, degrees): 4.2006 4.2006 4.2006 60.00 60.00 60.00
Last column: nearest neighbours and their distance in Å.
Fractional positions:
1 Ca 0.0000 0.0000 0.0000  6 Se 2.97
2 Se 0.5000 0.5000 0.5000  6 Ca 2.97


[2]
A plane-wave DFT calculation with r²SCAN was carried out for a geometry-optimized CaZnSe2 structure.

Output
The calculation puts the total magnetization at 0.0 μB per formula unit.

Lattice parameters (Å, degrees): 4.2465 4.2465 6.3466 90.00 90.00 90.00
Last column: nearest neighbours and their distance in Å.
Fractional positions:
1 Ca 0.0000 0.0000 0.0000  4 Se 2.81
2 Zn 0.5000 0.5000 0.5000  4 Se 2.51
3 Se 0.0000 0.5000 0.7102  2 Zn 2.51
4 Se 0.5000 0.0000 0.2898  2 Zn 2.51


[3]
A plane-wave DFT calculation with r²SCAN was carried out for a geometry-optimized Ca3Si4 structure.

Output
The calculation puts the total magnetization at 0.0 μB per formula unit.

Lattice parameters (Å, degrees): 8.5359 8.5359 14.9051 90.00 90.00 120.00
Last column: nearest neighbours and their distance in Å.
Fractional positions:
1 Ca 0.0000 0.0000 0.0000  6 Si 3.19
2 Ca 0.0000 0.0000 0.2500  3 Si 3.06
3 Ca 0.0000 0.0000 0.5000  6 Si 3.19
4 Ca 0.0000 0.0000 0.7500  3 Si 3.06
5 Ca 0.0936 0.6722 0.0974  8 Si 2.95-3.25
6 Ca 0.0936 0.6722 0.4026  8 Si 2.95-3.25
7 Ca 0.3278 0.4214 0.0974  8 Si 2.95-3.25
8 Ca 0.3278 0.4214 0.4026  8 Si 2.95-3.25
9 Ca 0.3333 0.6667 0.7500  11 Si 2.86-3.19
10 Ca 0.4214 0.0936 0.5974  8 Si 2.95-3.25
11 Ca 0.4214 0.0936 0.9026  8 Si 2.95-3.25
12 Ca 0.5786 0.9064 0.0974  8 Si 2.95-3.25
13 Ca 0.5786 0.9064 0.4026  8 Si 2.95-3.25
14 Ca 0.6667 0.3333 0.2500  11 Si 2.86-3.19
15 Ca 0.6722 0.5786 0.5974  8 Si 2.95-3.25
16 Ca 0.6722 0.5786 0.9026  8 Si 2.95-3.25
17 Ca 0.9064 0.3278 0.5974  8 Si 2.95-3.25
18 Ca 0.9064 0.3278 0.9026  8 Si 2.95-3.25
19 Si 0.0562 0.3827 0.2500  3 Si 2.38-2.40
20 Si 0.0911 0.7360 0.6107  2 Si 2.38-2.54
21 Si 0.0911 0.7360 0.8893  2 Si 2.38-2.54
22 Si 0.2640 0.3551 0.6107  2 Si 2.38-2.54
23 Si 0.2640 0.3551 0.8893  2 Si 2.38-2.54
24 Si 0.3265 0.9438 0.2500  3 Si 2.38-2.40
25 Si 0.3333 0.6667 0.2500  3 Si 2.40
26 Si 0.3333 0.6667 0.5580  3 Si 2.54
27 Si 0.3333 0.6667 0.9420  3 Si 2.54
28 Si 0.3551 0.0911 0.1107  2 Si 2.38-2.54
29 Si 0.3551 0.0911 0.3893  2 Si 2.38-2.54
30 Si 0.3827 0.3265 0.7500  3 Si 2.38-2.40
31 Si 0.6173 0.6735 0.2500  3 Si 2.38-2.40
32 Si 0.6449 0.9089 0.6107  2 Si 2.38-2.54
33 Si 0.6449 0.9089 0.8893  2 Si 2.38-2.54
34 Si 0.6667 0.3333 0.0580  3 Si 2.54
35 Si 0.6667 0.3333 0.4420  3 Si 2.54
36 Si 0.6667 0.3333 0.7500  3 Si 2.40
37 Si 0.6735 0.0562 0.7500  3 Si 2.38-2.40
38 Si 0.7360 0.6449 0.1107  2 Si 2.38-2.54
39 Si 0.7360 0.6449 0.3893  2 Si 2.38-2.54
40 Si 0.9089 0.2640 0.1107  2 Si 2.38-2.54
41 Si 0.9089 0.2640 0.3893  2 Si 2.38-2.54
42 Si 0.9438 0.6173 0.7500  3 Si 2.38-2.40


ΔH_f (0 K) / eV per atom: -2.32, -1.34, -0.52